# 1
Compound: Ga2Ni7Ge2
Source: the Materials Project
Functional: PBE-GGA
Structure: optimized geometry

energy of formation from the pure elements	-294	meV per atom
magnetic moment	0.01	μB per cell

Cell lengths 3.9875, 3.9875, 9.9841 Å; angles 90.00, 90.00, 120.00 degrees
Space group P-6m2 (No. 187)
Unique sites:
Ga (0.0000, 0.0000, 0.0000) [1 per cell]
Ga (0.0000, 0.0000, 0.5000) [1 per cell]
Ni (0.0000, 0.0000, 0.2451) [2 per cell]
Ni (0.3333, 0.6667, 0.1241) [2 per cell]
Ni (0.3333, 0.6667, 0.3745) [2 per cell]
Ni (0.6667, 0.3333, 0.5000) [1 per cell]
Ge (0.6667, 0.3333, 0.2409) [2 per cell]



# 2
Compound: GaNi2Ge3
Source: the Materials Project
Functional: PBE-GGA
Structure: optimized geometry

energy of formation from the pure elements	-229	meV per atom
magnetic moment	0.00	μB per cell

Cell lengths 5.7443, 10.8771, 5.7398 Å; angles 90.00, 90.00, 90.00 degrees
Space group C222_1 (No. 20)
Unique sites:
Ga (0.2497, 0.0000, 0.0000) [4 per cell]
Ni (0.0000, 0.1341, 0.2500) [4 per cell]
Ni (0.0000, 0.3657, 0.2500) [4 per cell]
Ge (0.1566, 0.2505, 0.5932) [8 per cell]
Ge (0.2498, 0.0000, 0.5000) [4 per cell]



# 3
Compound: YGa3NiGe
Source: the Materials Project
Functional: PBE-GGA
Structure: optimized geometry

energy of formation from the pure elements	-520	meV per atom
magnetic moment	0.00	μB per cell

Cell lengths 4.2075, 4.2075, 24.1165 Å; angles 90.00, 90.00, 90.00 degrees
Space group I4mm (No. 107)
Unique sites:
Y (0.0000, 0.0000, 0.0000) [2 per cell]
Y (0.0000, 0.0000, 0.2968) [2 per cell]
Ga (0.0000, 0.5000, 0.1003) [4 per cell]
Ga (0.0000, 0.5000, 0.2090) [4 per cell]
Ga (0.0000, 0.5000, 0.3921) [4 per cell]
Ni (0.0000, 0.0000, 0.1540) [2 per cell]
Ni (0.0000, 0.0000, 0.4354) [2 per cell]
Ge (0.0000, 0.0000, 0.5296) [2 per cell]
Ge (0.0000, 0.0000, 0.8023) [2 per cell]



# 4
Compound: GaGeO3
Source: the Materials Project
Functional: PBE-GGA
Structure: optimized geometry

energy of formation from the pure elements	-1402	meV per atom
magnetic moment	0.01	μB per cell

Cell lengths 3.7540, 3.7540, 3.7540 Å; angles 90.00, 90.00, 90.00 degrees
Space group Pm-3m (No. 221)
Unique sites:
Ga (0.0000, 0.0000, 0.0000) [1 per cell]
Ge (0.5000, 0.5000, 0.5000) [1 per cell]
O (0.0000, 0.5000, 0.5000) [3 per cell]



# 5
Compound: Ga2Ge4Pb3O14
Source: the Materials Project
Functional: PBE-GGA
Structure: optimized geometry

energy of formation from the pure elements	-2003	meV per atom
magnetic moment	0.00	μB per cell

Cell lengths 8.5416, 8.5416, 5.0110 Å; angles 90.00, 90.00, 120.00 degrees
Space group P321 (No. 150)
Unique sites:
Ga (0.3333, 0.6667, 0.0048) [2 per cell]
Ge (0.0000, 0.0000, 0.5000) [1 per cell]
Ge (0.0000, 0.2454, 0.0000) [3 per cell]
Pb (0.0000, 0.5791, 0.5000) [3 per cell]
O (0.0903, 0.8827, 0.7326) [6 per cell]
O (0.1618, 0.4472, 0.1651) [6 per cell]
O (0.3333, 0.6667, 0.6474) [2 per cell]



# 6
Compound: SmGaGe2O7
Source: the Materials Project
Functional: PBE-GGA
Structure: optimized geometry

energy of formation from the pure elements	-2597	meV per atom
magnetic moment	0.00	μB per cell

Cell lengths 7.3284, 6.6412, 12.9809 Å; angles 90.00, 117.73, 90.00 degrees
Space group P2_1/c (No. 14)
Unique sites:
Sm (0.2413, 0.1453, 0.4734) [4 per cell]
Ga (0.2139, 0.1003, 0.7310) [4 per cell]
Ge (0.2140, 0.6591, 0.4543) [4 per cell]
Ge (0.3001, 0.5886, 0.7188) [4 per cell]
O (0.0123, 0.6587, 0.9209) [4 per cell]
O (0.1534, 0.6879, 0.1846) [4 per cell]
O (0.2044, 0.0541, 0.8707) [4 per cell]
O (0.2224, 0.1093, 0.2804) [4 per cell]
O (0.2498, 0.0000, 0.0747) [4 per cell]
O (0.4095, 0.6741, 0.9780) [4 per cell]
O (0.4312, 0.1268, 0.6930) [4 per cell]



# 7
Compound: SrGa2Ge2O8
Source: the Materials Project
Functional: PBE-GGA
Structure: optimized geometry

energy of formation from the pure elements	-2454	meV per atom
magnetic moment	0.00	μB per cell

Cell lengths 8.6983, 9.7924, 9.3255 Å; angles 90.00, 90.47, 90.00 degrees
Space group P2_1/c (No. 14)
Unique sites:
Sr (0.2495, 0.0871, 0.1146) [4 per cell]
Ga (0.0689, 0.6939, 0.0536) [4 per cell]
Ga (0.4326, 0.0758, 0.7351) [4 per cell]
Ge (0.0619, 0.0797, 0.7420) [4 per cell]
Ge (0.4400, 0.6994, 0.0569) [4 per cell]
O (0.0173, 0.0790, 0.3090) [4 per cell]
O (0.0663, 0.6261, 0.6184) [4 per cell]
O (0.0701, 0.1981, 0.5998) [4 per cell]
O (0.2445, 0.0750, 0.8294) [4 per cell]
O (0.2609, 0.6360, 0.0014) [4 per cell]
O (0.4254, 0.1990, 0.5853) [4 per cell]
O (0.4337, 0.6282, 0.6163) [4 per cell]
O (0.4807, 0.0920, 0.3064) [4 per cell]



# 8
Compound: TbGaGe2O7
Source: the Materials Project
Functional: PBE-GGA
Structure: optimized geometry

energy of formation from the pure elements	-2605	meV per atom
magnetic moment	0.00	μB per cell

Cell lengths 7.2789, 6.6181, 12.8770 Å; angles 90.00, 117.95, 90.00 degrees
Space group P2_1/c (No. 14)
Unique sites:
Tb (0.2440, 0.1431, 0.4721) [4 per cell]
Ga (0.2125, 0.0995, 0.7299) [4 per cell]
Ge (0.2160, 0.6576, 0.4563) [4 per cell]
Ge (0.2997, 0.5889, 0.7211) [4 per cell]
O (0.0161, 0.6556, 0.9233) [4 per cell]
O (0.1493, 0.6888, 0.1843) [4 per cell]
O (0.2075, 0.0556, 0.8726) [4 per cell]
O (0.2198, 0.1098, 0.2817) [4 per cell]
O (0.2539, 0.0023, 0.0773) [4 per cell]
O (0.4118, 0.6723, 0.9793) [4 per cell]
O (0.4285, 0.1257, 0.6888) [4 per cell]